(1)
This record from the Materials Project database describes an optimized crystal structure of La3CrS6. The functional is PBE.

a = 13.784 Å, b = 16.541 Å, c = 3.981 Å
α = 90.00°, β = 90.00°, γ = 90.00°
Space group Pnnm (No. 58)
Unique sites:
La 0.050 0.215 0.000 [4 per cell]
La 0.180 0.648 0.000 [4 per cell]
La 0.245 0.903 0.500 [4 per cell]
Cr 0.000 0.000 0.500 [2 per cell]
Cr 0.000 0.500 0.500 [2 per cell]
S 0.024 0.407 0.000 [4 per cell]
S 0.081 0.930 0.000 [4 per cell]
S 0.102 0.755 0.500 [4 per cell]
S 0.121 0.101 0.500 [4 per cell]
S 0.175 0.521 0.500 [4 per cell]
S 0.185 0.290 0.500 [4 per cell]

## Properties
- Size of the total moment: 12.01 Bohr magnetons per cell
- Energy: -6.73 eV per atom

(2)
This record from the Materials Project database describes an optimized crystal structure of HoSnGe. The functional is PBE.

a = 4.260 Å, b = 16.234 Å, c = 4.095 Å
α = 90.00°, β = 90.00°, γ = 90.00°
Space group Cmcm (No. 63)
Unique sites:
Ho 0.000 0.094 0.250 [4 per cell]
Sn 0.000 0.256 0.750 [4 per cell]
Ge 0.000 0.445 0.250 [4 per cell]

## Properties
- Energy: -5.02 eV per atom

(3)
This record from the Materials Project database describes an optimized crystal structure of Na4MgTi3P6O24. The functional is PBE.

a = 8.718 Å, b = 8.727 Å, c = 22.179 Å
α = 90.00°, β = 89.99°, γ = 60.07°
Space group P1 (No. 1)
Unique sites:
Na 0.000 0.000 0.000 [1 per cell]
Na 0.000 0.016 0.500 [1 per cell]
Na 0.027 0.682 0.087 [1 per cell]
Na 0.296 0.678 0.587 [1 per cell]
Na 0.298 0.036 0.086 [1 per cell]
Na 0.324 0.340 0.670 [1 per cell]
Na 0.333 0.341 0.171 [1 per cell]
Na 0.657 0.684 0.836 [1 per cell]
Na 0.666 0.675 0.333 [1 per cell]
Na 0.672 0.040 0.587 [1 per cell]
Na 0.672 0.307 0.087 [1 per cell]
Na 0.961 0.347 0.918 [1 per cell]
Mg 0.000 0.014 0.649 [1 per cell]
Mg 0.661 0.680 0.980 [1 per cell]
Mg 0.999 0.008 0.152 [1 per cell]
Ti 0.000 0.002 0.851 [1 per cell]
Ti 0.327 0.340 0.518 [1 per cell]
Ti 0.333 0.341 0.313 [1 per cell]
Ti 0.334 0.340 0.813 [1 per cell]
Ti 0.334 0.342 0.017 [1 per cell]
Ti 0.664 0.676 0.189 [1 per cell]
Ti 0.665 0.674 0.479 [1 per cell]
Ti 0.669 0.672 0.691 [1 per cell]
Ti 0.999 0.007 0.351 [1 per cell]
P 0.000 0.716 0.250 [1 per cell]
P 0.001 0.297 0.750 [1 per cell]
P 0.042 0.341 0.416 [1 per cell]
P 0.044 0.634 0.916 [1 per cell]
P 0.289 0.716 0.749 [1 per cell]
P 0.290 0.009 0.250 [1 per cell]
P 0.331 0.631 0.417 [1 per cell]
P 0.335 0.049 0.916 [1 per cell]
P 0.376 0.676 0.083 [1 per cell]
P 0.378 0.963 0.584 [1 per cell]
P 0.622 0.052 0.417 [1 per cell]
P 0.623 0.340 0.916 [1 per cell]
P 0.667 0.963 0.083 [1 per cell]
P 0.669 0.387 0.583 [1 per cell]
P 0.708 0.009 0.749 [1 per cell]
P 0.708 0.299 0.250 [1 per cell]
P 0.954 0.670 0.584 [1 per cell]
P 0.955 0.385 0.083 [1 per cell]
O 0.025 0.175 0.410 [1 per cell]
O 0.031 0.816 0.910 [1 per cell]
O 0.033 0.787 0.193 [1 per cell]
O 0.034 0.187 0.695 [1 per cell]
O 0.132 0.371 0.362 [1 per cell]
O 0.139 0.511 0.862 [1 per cell]
O 0.142 0.505 0.577 [1 per cell]
O 0.144 0.369 0.078 [1 per cell]
O 0.160 0.043 0.911 [1 per cell]
O 0.160 0.546 0.974 [1 per cell]
O 0.162 0.313 0.473 [1 per cell]
O 0.162 0.324 0.761 [1 per cell]
O 0.163 0.530 0.261 [1 per cell]
O 0.166 0.815 0.410 [1 per cell]
O 0.184 0.789 0.692 [1 per cell]
O 0.186 0.042 0.192 [1 per cell]
O 0.190 0.834 0.091 [1 per cell]
O 0.197 0.839 0.805 [1 per cell]
O 0.197 0.981 0.306 [1 per cell]
O 0.198 0.978 0.588 [1 per cell]
O 0.300 0.171 0.974 [1 per cell]
O 0.304 0.544 0.475 [1 per cell]
O 0.313 0.531 0.760 [1 per cell]
O 0.314 0.172 0.261 [1 per cell]
O 0.353 0.149 0.862 [1 per cell]
O 0.360 0.503 0.078 [1 per cell]
O 0.361 0.512 0.362 [1 per cell]
O 0.366 0.147 0.576 [1 per cell]
O 0.458 0.708 0.028 [1 per cell]
O 0.471 0.844 0.528 [1 per cell]
O 0.476 0.699 0.744 [1 per cell]
O 0.477 0.841 0.245 [1 per cell]
O 0.495 0.152 0.078 [1 per cell]
O 0.496 0.372 0.577 [1 per cell]
O 0.496 0.870 0.921 [1 per cell]
O 0.498 0.639 0.140 [1 per cell]
O 0.498 0.649 0.425 [1 per cell]
O 0.500 0.878 0.639 [1 per cell]
O 0.503 0.143 0.363 [1 per cell]
O 0.504 0.363 0.862 [1 per cell]
O 0.521 0.322 0.261 [1 per cell]
O 0.522 0.171 0.760 [1 per cell]
O 0.535 0.167 0.475 [1 per cell]
O 0.535 0.312 0.974 [1 per cell]
O 0.630 0.878 0.140 [1 per cell]
O 0.632 0.508 0.639 [1 per cell]
O 0.640 0.868 0.425 [1 per cell]
O 0.647 0.500 0.921 [1 per cell]
O 0.689 0.481 0.527 [1 per cell]
O 0.690 0.486 0.245 [1 per cell]
O 0.690 0.841 0.745 [1 per cell]
O 0.701 0.849 0.028 [1 per cell]
O 0.779 0.195 0.192 [1 per cell]
O 0.781 0.041 0.692 [1 per cell]
O 0.806 0.034 0.410 [1 per cell]
O 0.808 0.171 0.911 [1 per cell]
O 0.825 0.992 0.091 [1 per cell]
O 0.826 0.201 0.587 [1 per cell]
O 0.829 0.206 0.306 [1 per cell]
O 0.829 0.980 0.805 [1 per cell]
O 0.832 0.485 0.745 [1 per cell]
O 0.832 0.698 0.245 [1 per cell]
O 0.835 0.700 0.528 [1 per cell]
O 0.846 0.462 0.026 [1 per cell]
O 0.859 0.507 0.425 [1 per cell]
O 0.866 0.643 0.640 [1 per cell]
O 0.866 0.645 0.922 [1 per cell]
O 0.867 0.508 0.138 [1 per cell]
O 0.969 0.214 0.809 [1 per cell]
O 0.971 0.837 0.306 [1 per cell]
O 0.975 0.834 0.588 [1 per cell]
O 0.982 0.199 0.090 [1 per cell]

## Properties
- Size of the total moment: 0.00 Bohr magnetons per cell
- Energy: -7.28 eV per atom

(4)
This record from the Materials Project database describes an optimized crystal structure of Zr10HN8. The functional is PBE.

a = 5.637 Å, b = 5.652 Å, c = 8.633 Å
α = 71.51°, β = 71.51°, γ = 80.28°
Space group P-1 (No. 2)
Unique sites:
Zr 0.054 0.261 0.152 [2 per cell]
Zr 0.131 0.750 0.450 [2 per cell]
Zr 0.245 0.247 0.753 [2 per cell]
Zr 0.352 0.740 0.055 [2 per cell]
Zr 0.444 0.234 0.348 [2 per cell]
H 0.000 0.000 0.000 [1 per cell]
N 0.094 0.493 0.303 [2 per cell]
N 0.207 0.005 0.596 [2 per cell]
N 0.295 0.496 0.902 [2 per cell]
N 0.404 0.004 0.198 [2 per cell]

## Properties
- Energy: -9.66 eV per atom

(5)
This record from the Materials Project database describes an optimized crystal structure of Nd6Ta4Al43. The functional is PBE.

a = 11.2135 Å, b = 11.2135 Å, c = 17.9639 Å
α = 90.00°, β = 90.00°, γ = 120.00°
Space group P6_3/mcm (No. 193)
Unique sites:
Nd 0.0000 0.4716 0.0960 [12 per cell]
Ta 0.0000 0.0000 0.0000 [2 per cell]
Ta 0.0000 0.2723 0.2500 [6 per cell]
Al 0.0000 0.1463 0.7500 [6 per cell]
Al 0.0000 0.1580 0.1157 [12 per cell]
Al 0.0000 0.2536 0.5302 [12 per cell]
Al 0.1499 0.5544 0.2500 [12 per cell]
Al 0.1572 0.3937 0.6651 [24 per cell]
Al 0.2473 0.4946 0.0000 [12 per cell]
Al 0.3333 0.6667 0.1272 [8 per cell]

## Properties
- Energy: -4.78 eV per atom

(6)
This record from the Materials Project database describes an optimized crystal structure of LiPtN. The functional is PBE.

a = 3.7772 Å, b = 3.7772 Å, c = 3.7028 Å
α = 90.00°, β = 90.00°, γ = 120.00°
Space group P-6m2 (No. 187)
Unique sites:
Li 0.0000 0.0000 0.0000 [1 per cell]
Pt 0.6667 0.3333 0.5000 [1 per cell]
N 0.6667 0.3333 0.0000 [1 per cell]

## Properties
- Size of the total moment: 0.00 Bohr magnetons per cell
- E above lowest polymorph: 0 meV per atom

(7)
This record from the Materials Project database describes an optimized crystal structure of Ce2ThS3. The functional is PBE.

a = 4.0320 Å, b = 4.0320 Å, c = 9.8461 Å
α = 90.00°, β = 90.00°, γ = 120.00°
Space group P-3m1 (No. 164)
Unique sites:
Ce 0.3333 0.6667 0.1665 [2 per cell]
Th 0.0000 0.0000 0.5000 [1 per cell]
S 0.0000 0.0000 0.0000 [1 per cell]
S 0.3333 0.6667 0.6683 [2 per cell]

## Properties
- Energy: -7.28 eV per atom

(8)
This record from the Materials Project database describes an optimized crystal structure of KMg14CO16. The functional is PBE.

a = 8.628 Å, b = 8.628 Å, c = 4.317 Å
α = 90.00°, β = 90.00°, γ = 90.00°
Space group P4/mmm (No. 123)
Unique sites:
K 0.000 0.000 0.000 [1 per cell]
Mg 0.000 0.257 0.500 [4 per cell]
Mg 0.000 0.500 0.000 [2 per cell]
Mg 0.252 0.252 0.000 [4 per cell]
Mg 0.254 0.500 0.500 [4 per cell]
C 0.500 0.500 0.000 [1 per cell]
O 0.000 0.000 0.500 [1 per cell]
O 0.000 0.276 0.000 [4 per cell]
O 0.000 0.500 0.500 [2 per cell]
O 0.252 0.252 0.500 [4 per cell]
O 0.266 0.500 0.000 [4 per cell]
O 0.500 0.500 0.500 [1 per cell]

## Properties
- Size of the total moment: 0.33 Bohr magnetons per cell
- E above lowest polymorph: 54 meV per atom